Here is a geometry-optimized Li3La3Mo2O12 structure from the Materials Project database. Energies are from PBE+U.

* volume: 1036.10 Å³/cell
* energy of formation from the pure elements: -57.87 eV per formula unit
* SG: Ia-3d, No. 230

```
Li3La3Mo2O12
1.0
-6.375 6.375 6.375
6.375 -6.375 6.375
6.375 6.375 -6.375
Li La Mo O
12 12 8 48
direct
0.125 0.750 0.875
0.125 0.875 0.250
0.250 0.125 0.875
0.250 0.625 0.375
0.375 0.250 0.625
0.375 0.625 0.750
0.625 0.375 0.250
0.625 0.750 0.375
0.750 0.375 0.625
0.750 0.875 0.125
0.875 0.125 0.750
0.875 0.250 0.125
0.125 0.250 0.375
0.125 0.375 0.750
0.250 0.375 0.125
0.250 0.875 0.625
0.375 0.125 0.250
0.375 0.750 0.125
0.625 0.250 0.875
0.625 0.875 0.750
0.750 0.125 0.375
0.750 0.625 0.875
0.875 0.625 0.250
0.875 0.750 0.625
0.000 0.000 0.000
0.000 0.000 0.500
0.000 0.500 0.000
0.000 0.500 0.500
0.500 0.000 0.000
0.500 0.000 0.500
0.500 0.500 0.000
0.500 0.500 0.500
0.023 0.194 0.113
0.023 0.329 0.909
0.080 0.694 0.671
0.080 0.887 0.409
0.091 0.613 0.420
0.091 0.977 0.671
0.113 0.023 0.194
0.113 0.591 0.920
0.171 0.194 0.580
0.171 0.477 0.591
0.194 0.113 0.023
0.194 0.580 0.171
0.306 0.329 0.920
0.306 0.477 0.387
0.329 0.909 0.023
0.329 0.920 0.306
0.387 0.306 0.477
0.387 0.580 0.909
0.409 0.080 0.887
0.409 0.829 0.523
0.420 0.091 0.613
0.420 0.829 0.806
0.477 0.387 0.306
0.477 0.591 0.171
0.523 0.409 0.829
0.523 0.613 0.694
0.580 0.171 0.194
0.580 0.909 0.387
0.591 0.171 0.477
0.591 0.920 0.113
0.613 0.420 0.091
0.613 0.694 0.523
0.671 0.080 0.694
0.671 0.091 0.977
0.694 0.523 0.613
0.694 0.671 0.080
0.806 0.420 0.829
0.806 0.887 0.977
0.829 0.523 0.409
0.829 0.806 0.420
0.887 0.409 0.080
0.887 0.977 0.806
0.909 0.023 0.329
0.909 0.387 0.580
0.920 0.113 0.591
0.920 0.306 0.329
0.977 0.671 0.091
0.977 0.806 0.887
```

Here is a geometry-optimized LiLa4Ni3WO12 structure from the Materials Project database. Energies are from PBE+U.

* energy relative to the lowest polymorph listed for this composition: 0 meV per atom
* volume: 264.99 Å³/cell
* energy of formation from the pure elements: -52.37 eV per formula unit
* SG: P2/m, No. 10

```
LiLa4Ni3WO12
1.0
5.472 0.000 0.000
0.000 8.697 0.000
-0.016 0.000 5.568
Li La Ni W O
1 4 3 1 12
direct
0.000 0.000 0.000
0.000 0.283 0.000
0.000 0.717 0.000
0.500 0.204 0.500
0.500 0.796 0.500
0.000 0.000 0.500
0.500 0.000 0.000
0.500 0.500 0.000
0.000 0.500 0.500
0.000 0.263 0.500
0.000 0.737 0.500
0.176 0.500 0.178
0.220 0.000 0.776
0.293 0.000 0.296
0.299 0.500 0.679
0.500 0.259 0.000
0.500 0.741 0.000
0.701 0.500 0.321
0.707 0.000 0.704
0.780 0.000 0.224
0.824 0.500 0.822
```

Here is a geometry-optimized LiLa4Ni3WO12 structure from the Materials Project database. Energies are from PBE+U.

* energy relative to the lowest polymorph listed for this composition: 6 meV per atom
* volume: 261.32 Å³/cell
* energy of formation from the pure elements: -52.23 eV per formula unit
* SG: P2/m, No. 10

```
LiLa4Ni3WO12
1.0
5.531 0.000 0.000
0.000 8.503 0.000
-0.060 0.000 5.556
Li La Ni W O
1 4 3 1 12
direct
0.000 0.000 0.000
0.000 0.307 0.000
0.000 0.693 0.000
0.500 0.279 0.500
0.500 0.721 0.500
0.000 0.500 0.500
0.500 0.000 0.000
0.500 0.500 0.000
0.000 0.000 0.500
0.000 0.245 0.500
0.000 0.755 0.500
0.241 0.000 0.751
0.244 0.000 0.243
0.244 0.500 0.752
0.247 0.500 0.250
0.500 0.254 0.000
0.500 0.746 0.000
0.753 0.500 0.750
0.756 0.000 0.757
0.756 0.500 0.248
0.759 0.000 0.249
```

Here is a geometry-optimized LiLa2VO6 structure from the Materials Project database. Energies are from PBE+U.

* volume: 115.44 Å³/cell
* energy of formation from the pure elements: -31.46 eV per formula unit
* SG: Fm-3m, No. 225

```
LiLa2VO6
1.0
0.000 3.865 3.865
3.865 0.000 3.865
3.865 3.865 0.000
Li La V O
1 2 1 6
direct
0.000 0.000 0.000
0.250 0.250 0.250
0.750 0.750 0.750
0.500 0.500 0.500
0.257 0.257 0.743
0.257 0.743 0.257
0.257 0.743 0.743
0.743 0.257 0.257
0.743 0.257 0.743
0.743 0.743 0.257
```

Here is a geometry-optimized LiLaV4O12 structure from the Materials Project database. Energies are from PBE+U.

* volume: 218.60 Å³/cell
* energy of formation from the pure elements: -45.00 eV per formula unit
* SG: Amm2, No. 38

```
LiLaV4O12
1.0
7.408 0.000 0.000
0.000 3.600 4.099
0.000 -3.600 4.099
Li La V O
1 1 4 12
direct
0.000 0.000 0.000
0.500 0.472 0.472
0.240 0.481 0.967
0.240 0.967 0.481
0.760 0.481 0.967
0.760 0.967 0.481
0.000 0.043 0.438
0.000 0.438 0.043
0.196 0.797 0.797
0.244 0.304 0.733
0.244 0.733 0.304
0.292 0.244 0.244
0.500 0.550 0.961
0.500 0.961 0.550
0.708 0.244 0.244
0.756 0.304 0.733
0.756 0.733 0.304
0.804 0.797 0.797
```

Here is a geometry-optimized La4MgMnO8 structure from the Materials Project database. Energies are from PBE+U.

* energy relative to the lowest polymorph listed for this composition: 481 meV per atom
* volume: 226.62 Å³/cell
* energy of formation from the pure elements: -40.31 eV per formula unit
* SG: Cm, No. 8

```
La4MgMnO8
1.0
8.264 -2.639 0.000
8.264 2.639 0.000
-0.004 0.000 5.195
La Mg Mn O
4 1 1 8
direct
0.000 0.000 0.000
0.361 0.361 0.000
0.574 0.574 0.500
0.787 0.787 0.499
0.181 0.181 0.999
0.181 0.181 0.499
0.027 0.027 0.499
0.334 0.334 0.498
0.441 0.920 0.256
0.441 0.920 0.742
0.495 0.495 0.999
0.866 0.866 0.999
0.920 0.441 0.256
0.920 0.441 0.742
```

Here is a geometry-optimized La4MgMnO8 structure from the Materials Project database. Energies are from PBE+U.

* energy relative to the lowest polymorph listed for this composition: 0 meV per atom
* volume: 201.01 Å³/cell
* energy of formation from the pure elements: -47.04 eV per formula unit
* SG: Cmmm, No. 65

```
La4MgMnO8
1.0
2.828 -6.283 0.000
2.828 6.283 0.000
0.000 0.000 5.657
La Mg Mn O
4 1 1 8
direct
0.137 0.863 0.000
0.362 0.638 0.500
0.638 0.362 0.500
0.863 0.137 0.000
0.000 0.000 0.500
0.500 0.500 0.000
0.181 0.819 0.500
0.245 0.245 0.256
0.245 0.245 0.744
0.317 0.683 0.000
0.683 0.317 0.000
0.755 0.755 0.256
0.755 0.755 0.744
0.819 0.181 0.500
```

Here is a geometry-optimized La4MgMnO8 structure from the Materials Project database. Energies are from PBE+U.

* energy relative to the lowest polymorph listed for this composition: 504 meV per atom
* volume: 212.55 Å³/cell
* energy of formation from the pure elements: -39.98 eV per formula unit
* SG: P-1, No. 2

```
La4MgMnO8
1.0
5.150 0.000 0.000
0.004 5.497 0.000
0.002 2.740 7.508
La Mg Mn O
4 1 1 8
direct
0.000 0.125 0.249
0.000 0.875 0.751
0.499 0.683 0.134
0.501 0.317 0.866
0.500 0.500 0.500
0.500 0.000 0.500
0.001 0.701 0.098
0.245 0.241 0.500
0.245 0.759 0.500
0.500 0.171 0.157
0.500 0.829 0.843
0.755 0.241 0.500
0.755 0.759 0.500
0.999 0.299 0.902
```

Number 1: calculated total energy -7.2412 eV per atom. Number 2: calculated total energy -6.8280 eV per atom. Number 3: calculated total energy -6.8217 eV per atom. Number 4: calculated total energy -7.6188 eV per atom. Number 5: calculated total energy -7.3616 eV per atom. Number 6: calculated total energy -7.3739 eV per atom. Number 7: calculated total energy -7.8549 eV per atom. Number 8: calculated total energy -7.3506 eV per atom.